No. 1
GaRe2C9O9 after structural relaxation, computed with PBE. Values from VASP.

Properties
ΔH_f (0 K): -1980 kJ/mol of formula units
Mass density: 3177 kg/m³
Calculated volume: 2903 Å³/cell
Total DFT energy (no corrections): -169.848 eV/f.u.
Spin magnetization: 0.0 μB/f.u.

Quantum ESPRESSO input file:
```
&SYSTEM
  ibrav = 0, nat = 168, ntyp = 4
/
ATOMIC_SPECIES
Ga 69.72 Ga.upf
Re 186.21 Re.upf
C 12.01 C.upf
O 16.00 O.upf
CELL_PARAMETERS angstrom
16.723 -1.441 -5.553
8.383 -13.229 8.202
-15.474 1.044 -8.488
ATOMIC_POSITIONS crystal
Ga 0.168 0.111 0.334
Ga 0.611 0.777 0.943
Ga 0.334 0.668 0.557
Ga 0.832 0.889 0.666
Ga 0.666 0.332 0.443
Ga 0.389 0.223 0.057
Ga 0.277 0.834 0.166
Ga 0.723 0.166 0.834
Re 0.209 0.171 0.828
Re 0.881 0.709 0.537
Re 0.833 0.083 0.750
Re 0.167 0.917 0.250
Re 0.791 0.829 0.172
Re 0.844 0.381 0.672
Re 0.722 0.972 0.750
Re 0.671 0.344 0.963
Re 0.119 0.291 0.463
Re 0.329 0.656 0.037
Re 0.583 0.333 0.250
Re 0.472 0.222 0.250
Re 0.156 0.619 0.328
Re 0.417 0.667 0.750
Re 0.278 0.028 0.250
Re 0.528 0.778 0.750
C 0.238 0.567 0.263
C 0.196 0.025 0.763
C 0.908 0.332 0.590
C 0.293 0.125 0.769
C 0.851 0.034 0.939
C 0.478 0.776 0.611
C 0.707 0.875 0.231
C 0.024 0.793 0.668
C 0.633 0.022 0.798
C 0.807 0.233 0.585
C 0.762 0.433 0.737
C 0.374 0.803 0.841
C 0.537 0.467 0.341
C 0.912 0.572 0.434
C 0.088 0.428 0.566
C 0.335 0.133 0.111
C 0.275 0.592 0.620
C 0.625 0.356 0.832
C 0.595 0.912 0.561
C 0.721 0.307 0.074
C 0.072 0.138 0.660
C 0.845 0.225 0.817
C 0.276 0.165 0.298
C 0.375 0.644 0.168
C 0.472 0.655 0.880
C 0.978 0.412 0.840
C 0.967 0.126 0.929
C 0.832 0.743 0.424
C 0.022 0.588 0.160
C 0.522 0.224 0.389
C 0.638 0.478 0.066
C 0.033 0.874 0.071
C 0.757 0.682 0.090
C 0.092 0.668 0.410
C 0.193 0.767 0.415
C 0.908 0.028 0.683
C 0.475 0.738 0.170
C 0.928 0.862 0.340
C 0.724 0.835 0.702
C 0.665 0.867 0.889
C 0.697 0.037 0.571
C 0.466 0.905 0.817
C 0.804 0.975 0.237
C 0.148 0.221 0.915
C 0.528 0.345 0.120
C 0.303 0.963 0.429
C 0.856 0.524 0.731
C 0.626 0.197 0.159
C 0.362 0.522 0.934
C 0.412 0.351 0.317
C 0.463 0.533 0.659
C 0.155 0.775 0.183
C 0.092 0.972 0.317
C 0.733 0.648 0.426
C 0.168 0.257 0.576
C 0.279 0.693 0.926
C 0.367 0.978 0.202
C 0.933 0.696 0.670
C 0.818 0.408 0.076
C 0.405 0.088 0.439
C 0.852 0.779 0.085
C 0.144 0.476 0.269
C 0.182 0.592 0.924
C 0.588 0.649 0.683
C 0.976 0.207 0.332
C 0.267 0.352 0.574
C 0.243 0.318 0.910
C 0.149 0.966 0.061
C 0.725 0.408 0.380
C 0.525 0.262 0.830
C 0.534 0.095 0.183
C 0.067 0.304 0.330
O 0.945 0.307 0.542
O 0.143 0.691 0.143
O 0.487 0.454 0.607
O 0.254 0.078 0.031
O 0.076 0.931 0.951
O 0.620 0.013 0.467
O 0.353 0.387 0.640
O 0.954 0.847 0.967
O 0.810 0.059 0.275
O 0.375 0.424 0.355
O 0.547 0.223 0.469
O 0.141 0.394 0.240
O 0.055 0.693 0.458
O 0.991 0.119 0.561
O 0.431 0.980 0.855
O 0.746 0.922 0.969
O 0.859 0.606 0.760
O 0.098 0.555 0.862
O 0.513 0.546 0.393
O 0.894 0.155 0.253
O 0.647 0.613 0.360
O 0.753 0.286 0.140
O 0.441 0.216 0.751
O 0.191 0.547 0.548
O 0.381 0.442 0.872
O 0.380 0.987 0.533
O 0.723 0.754 0.676
O 0.809 0.453 0.452
O 0.402 0.641 0.247
O 0.902 0.445 0.138
O 0.035 0.310 0.251
O 0.520 0.875 0.451
O 0.924 0.069 0.049
O 0.942 0.571 0.061
O 0.625 0.576 0.645
O 0.501 0.357 0.048
O 0.953 0.001 0.643
O 0.598 0.359 0.753
O 0.193 0.236 0.638
O 0.453 0.777 0.531
O 0.345 0.098 0.740
O 0.499 0.643 0.952
O 0.569 0.020 0.145
O 0.190 0.941 0.725
O 0.857 0.309 0.857
O 0.559 0.784 0.249
O 0.113 0.253 0.966
O 0.071 0.509 0.628
O 0.058 0.429 0.939
O 0.653 0.120 0.107
O 0.929 0.491 0.372
O 0.736 0.598 0.042
O 0.965 0.690 0.749
O 0.578 0.047 0.824
O 0.284 0.535 0.225
O 0.347 0.880 0.893
O 0.264 0.402 0.958
O 0.619 0.558 0.128
O 0.807 0.764 0.362
O 0.480 0.125 0.549
O 0.655 0.902 0.260
O 0.277 0.246 0.324
O 0.786 0.147 0.534
O 0.009 0.881 0.439
O 0.247 0.714 0.860
O 0.047 0.999 0.357
O 0.046 0.153 0.033
O 0.422 0.953 0.176
O 0.214 0.853 0.466
O 0.887 0.747 0.034
O 0.106 0.845 0.747
O 0.716 0.465 0.775
```

No. 2
Ba3Al2Si2 after structural relaxation, computed with PBE. Values from VASP.

Properties
ΔH_f (0 K): -233 kJ/mol of formula units
Mass density: 3899 kg/m³
Calculated volume: 222 Å³/cell
Total DFT energy (no corrections): -26.657 eV/f.u.

Quantum ESPRESSO input file:
```
&SYSTEM
  ibrav = 0, nat = 7, ntyp = 3
/
ATOMIC_SPECIES
Ba 137.33 Ba.upf
Al 26.98 Al.upf
Si 28.09 Si.upf
CELL_PARAMETERS angstrom
-3.424 -0.833 -2.487
-1.234 -3.960 3.025
-3.281 8.487 5.415
ATOMIC_POSITIONS crystal
Ba 0.000 0.000 0.000
Ba 0.315 0.815 0.631
Ba 0.685 0.185 0.369
Al 0.565 0.565 0.130
Al 0.435 0.435 0.870
Si 0.133 0.633 0.266
Si 0.867 0.367 0.734
```

No. 3
MgBi4O8 after structural relaxation, computed with PBE. Values from VASP.

Properties
ΔH_f (0 K): -2122 kJ/mol of formula units
Mass density: 7440 kg/m³
Calculated volume: 221 Å³/cell
Total DFT energy (no corrections): -73.246 eV/f.u.
Spin magnetization: 0.0 μB/f.u.
Energy above the lowest structure with this stoichiometry: 44 meV per atom

Quantum ESPRESSO input file:
```
&SYSTEM
  ibrav = 0, nat = 13, ntyp = 3
/
ATOMIC_SPECIES
Mg 24.30 Mg.upf
Bi 208.98 Bi.upf
O 16.00 O.upf
CELL_PARAMETERS angstrom
5.502 1.058 0.512
3.577 7.074 -0.392
3.318 2.118 6.417
ATOMIC_POSITIONS crystal
Mg 0.186 0.054 0.007
Bi 0.444 0.254 0.162
Bi 0.806 0.025 0.565
Bi 0.650 0.580 0.173
Bi 0.618 0.585 0.676
O 0.315 0.436 0.373
O 0.225 0.519 0.956
O 0.309 0.773 0.486
O 0.936 0.312 0.354
O 0.502 0.850 0.787
O 0.840 0.337 0.946
O 0.841 0.991 0.273
O 0.556 0.040 0.999
```

No. 4
NiH6Br2N2 after structural relaxation, computed with PBE. Values from VASP.

Properties
ΔH_f (0 K): -529 kJ/mol of formula units
Mass density: 2969 kg/m³
Calculated volume: 141 Å³/cell
Total DFT energy (no corrections): -50.844 eV/f.u.
Spin magnetization: 2.0 μB/f.u.

Quantum ESPRESSO input file:
```
&SYSTEM
  ibrav = 0, nat = 11, ntyp = 4
/
ATOMIC_SPECIES
Ni 58.69 Ni.upf
H 1.01 H.upf
Br 79.90 Br.upf
N 14.01 N.upf
CELL_PARAMETERS angstrom
0.000 0.108 -3.909
-4.313 -4.193 0.112
-4.313 4.193 -0.112
ATOMIC_POSITIONS crystal
Ni 0.000 0.005 0.005
H 0.795 0.814 0.375
H 0.205 0.375 0.814
H 0.196 0.755 0.332
H 0.106 0.203 0.615
H 0.804 0.332 0.755
H 0.894 0.615 0.203
Br 0.500 0.799 0.799
Br 0.500 0.214 0.214
N 0.030 0.254 0.770
N 0.970 0.770 0.254
```

Repeat the second record exactly.
Ba3Al2Si2 after structural relaxation, computed with PBE. Values from VASP.

Properties
ΔH_f (0 K): -233 kJ/mol of formula units
Mass density: 3899 kg/m³
Calculated volume: 222 Å³/cell
Total DFT energy (no corrections): -26.657 eV/f.u.

Quantum ESPRESSO input file:
```
&SYSTEM
  ibrav = 0, nat = 7, ntyp = 3
/
ATOMIC_SPECIES
Ba 137.33 Ba.upf
Al 26.98 Al.upf
Si 28.09 Si.upf
CELL_PARAMETERS angstrom
-3.424 -0.833 -2.487
-1.234 -3.960 3.025
-3.281 8.487 5.415
ATOMIC_POSITIONS crystal
Ba 0.000 0.000 0.000
Ba 0.315 0.815 0.631
Ba 0.685 0.185 0.369
Al 0.565 0.565 0.130
Al 0.435 0.435 0.870
Si 0.133 0.633 0.266
Si 0.867 0.367 0.734
```